Entry 1:
{
  "formula": "SiH2O",
  "functional": "PBE",
  "state": "optimized geometry",
  "vol_a3_per_cell": 45.1,
  "sg": "No. 8",
  "e_form_mev_per_atom": -559,
  "de_polymorph_ev_per_atom": 0.000,
  "lattice_angstrom": [[1.828, 2.465, 0.000], [-1.828, 2.465, 0.000], [0.000, 0.288, 5.005]],
  "species": ["Si", "H", "H", "O"],
  "fractional_positions": [[0.681, 0.681, 0.267], [0.811, 0.811, 0.698], [0.336, 0.336, 0.221], [0.642, 0.642, 0.604]]
}

Entry 2:
{
  "formula": "SiH2O",
  "functional": "PBE",
  "state": "optimized geometry",
  "vol_a3_per_cell": 104.2,
  "sg": "No. 8",
  "e_form_mev_per_atom": -452,
  "de_polymorph_ev_per_atom": 0.107,
  "lattice_angstrom": [[-1.995, 2.172, -2.728], [2.528, -4.042, -0.787], [-4.836, -3.809, 4.031]],
  "species": ["Si", "H", "H", "O"],
  "fractional_positions": [[0.225, 0.613, 0.440], [0.572, 0.786, 0.650], [0.757, 0.378, 0.432], [0.388, 0.694, 0.269]]
}

Entry 3:
{
  "formula": "SiH2O",
  "functional": "PBE",
  "state": "optimized geometry",
  "vol_a3_per_cell": 44.1,
  "sg": "No. 1",
  "e_form_mev_per_atom": -552,
  "de_polymorph_ev_per_atom": 0.007,
  "lattice_angstrom": [[2.591, -0.453, 2.185], [2.527, -1.283, -0.837], [2.411, 4.171, -2.003]],
  "species": ["Si", "H", "H", "O"],
  "fractional_positions": [[0.269, 0.458, 0.884], [0.731, 0.543, 0.815], [0.195, 0.628, 0.299], [0.333, 0.314, 0.213]]
}